First-principles (r²SCAN) data for an optimized crystal structure of CoSb2, as listed in the Materials Project database.

a b c (Å): 6.4851 6.3769 6.5234
angles (deg): 90.00 116.93 90.00
Last column: nearest neighbours and their distance in Å.
Fractional positions:
Co 0.2308 0.0000 0.2197  6 Sb 2.50-2.59
Co 0.2308 0.5000 0.7197  6 Sb 2.50-2.59
Co 0.7692 0.0000 0.7803  6 Sb 2.50-2.59
Co 0.7692 0.5000 0.2803  6 Sb 2.50-2.59
Sb 0.1513 0.1432 0.8347  3 Co 2.50-2.52
Sb 0.1513 0.3568 0.3347  3 Co 2.50-2.52
Sb 0.3528 0.6398 0.1312  3 Co 2.58-2.59, 1 Sb 2.88
Sb 0.3528 0.8602 0.6312  3 Co 2.58-2.59, 1 Sb 2.88
Sb 0.6472 0.1398 0.3688  3 Co 2.58-2.59, 1 Sb 2.88
Sb 0.6472 0.3602 0.8688  3 Co 2.58-2.59, 1 Sb 2.88
Sb 0.8487 0.6432 0.6653  3 Co 2.50-2.52
Sb 0.8487 0.8568 0.1653  3 Co 2.50-2.52

Size of the total moment = 0.00 μB per formula unit
Formation energy from the elements = -0.1008 eV per atom
SG = P2_1/c
Electronic total energy = -21.65 eV/atom
Theoretical density = 8.353 g/cm³

***

First-principles (r²SCAN) data for an optimized crystal structure of CoSb2, as listed in the Materials Project database.

a b c (Å): 5.5561 6.3851 3.3955
angles (deg): 90.00 90.00 90.00
Last column: nearest neighbours and their distance in Å.
Fractional positions:
Co 0.0000 0.0000 0.0000  6 Sb 2.54
Co 0.5000 0.5000 0.5000  6 Sb 2.54
Sb 0.2015 0.3570 0.0000  3 Co 2.54
Sb 0.2985 0.8570 0.5000  3 Co 2.54
Sb 0.7015 0.1430 0.5000  3 Co 2.54
Sb 0.7985 0.6430 0.0000  3 Co 2.54

Size of the total moment = 0.00 μB per formula unit
Formation energy from the elements = -0.0909 eV per atom
SG = Pnnm
Electronic total energy = -21.64 eV/atom
Theoretical density = 8.339 g/cm³

***

First-principles (r²SCAN) data for an optimized crystal structure of Sc4Co3Sb4, as listed in the Materials Project database.

a b c (Å): 6.9076 4.3019 7.2809
angles (deg): 90.00 90.37 90.00
Last column: nearest neighbours and their distance in Å.
Fractional positions:
Sc 0.0000 0.0000 0.0000  2 Co 2.79, 6 Sb 2.97-3.08
Sc 0.0058 0.5000 0.4542  1 Co 2.71, 5 Sb 2.95-3.01
Sc 0.4977 0.0000 0.9527  3 Co 2.71-2.79, 5 Sb 2.98-3.01
Sc 0.5127 0.5000 0.5102  3 Co 2.74-2.80, 5 Sb 2.93-3.05
Co 0.3632 0.5000 0.1611  4 Sb 2.57-2.65, 3 Sc 2.74-2.79
Co 0.6441 0.0000 0.2992  4 Sb 2.56-2.63, 3 Sc 2.71-2.80
Co 0.8555 0.5000 0.7967  4 Sb 2.52-2.59, 3 Sc 2.71-2.79
Sb 0.2295 0.5000 0.8195  2 Co 2.59-2.65
Sb 0.2649 0.0000 0.3283  3 Co 2.57-2.63
Sb 0.7375 0.5000 0.1312  4 Co 2.56-2.60
Sb 0.7691 0.0000 0.6365  3 Co 2.52-2.60

Size of the total moment = 2.90 μB per formula unit
Formation energy from the elements = -0.7143 eV per atom
SG = Pm
Electronic total energy = -17.82 eV/atom
Theoretical density = 6.475 g/cm³

***

First-principles (r²SCAN) data for an optimized crystal structure of Th3Co3Sb4, as listed in the Materials Project database.

a b c (Å): 8.3438 8.3438 8.3438
angles (deg): 109.47 109.47 109.47
Last column: nearest neighbours and their distance in Å.
Fractional positions:
Th 0.1250 0.7500 0.8750  4 Co 2.95, 4 Sb 3.27
Th 0.2500 0.6250 0.3750  4 Co 2.95, 4 Sb 3.27
Th 0.3750 0.2500 0.6250  4 Co 2.95, 4 Sb 3.27
Th 0.6250 0.3750 0.2500  4 Co 2.95, 4 Sb 3.27
Th 0.7500 0.8750 0.1250  4 Co 2.95, 4 Sb 3.27
Th 0.8750 0.1250 0.7500  4 Co 2.95, 4 Sb 3.27
Co 0.1250 0.8750 0.2500  4 Sb 2.67, 4 Th 2.95
Co 0.2500 0.1250 0.8750  4 Sb 2.67, 4 Th 2.95
Co 0.3750 0.6250 0.7500  4 Sb 2.67, 4 Th 2.95
Co 0.6250 0.7500 0.3750  4 Sb 2.67, 4 Th 2.95
Co 0.7500 0.3750 0.6250  4 Sb 2.67, 4 Th 2.95
Co 0.8750 0.2500 0.1250  4 Sb 2.67, 4 Th 2.95
Sb 0.0000 0.3464 0.5000  3 Co 2.67
Sb 0.0000 0.8464 0.5000  3 Co 2.67
Sb 0.1536 0.1536 0.1536  3 Co 2.67
Sb 0.3464 0.5000 0.0000  3 Co 2.67
Sb 0.5000 0.0000 0.3464  3 Co 2.67
Sb 0.5000 0.0000 0.8464  3 Co 2.67
Sb 0.6536 0.6536 0.6536  3 Co 2.67
Sb 0.8464 0.5000 0.0000  3 Co 2.67

Size of the total moment = 3.00 μB per formula unit
Formation energy from the elements = -0.7202 eV per atom
SG = I-43d
Electronic total energy = -37.02 eV/atom
Theoretical density = 10.100 g/cm³

***

First-principles (r²SCAN) data for an optimized crystal structure of VCoSb, as listed in the Materials Project database.

a b c (Å): 4.1120 4.1120 4.1120
angles (deg): 60.00 60.00 60.00
Last column: nearest neighbours and their distance in Å.
Fractional positions:
V 0.0000 0.0000 0.0000  4 Co 2.52
Co 0.2500 0.2500 0.2500  4 Sb 2.52, 4 V 2.52
Sb 0.5000 0.5000 0.5000  4 Co 2.52

Size of the total moment = 1.00 μB per formula unit
Formation energy from the elements = -0.1894 eV per atom
SG = F-43m
Electronic total energy = -17.87 eV/atom
Theoretical density = 7.823 g/cm³

***

First-principles (r²SCAN) data for an optimized crystal structure of ScCo, as listed in the Materials Project database.

a b c (Å): 3.1423 3.1423 3.1423
angles (deg): 90.00 90.00 90.00
Last column: nearest neighbours and their distance in Å.
Fractional positions:
Sc 0.0000 0.0000 0.0000  8 Co 2.72
Co 0.5000 0.5000 0.5000  8 Sc 2.72

Size of the total moment = 0.23 μB per formula unit
Formation energy from the elements = -0.2913 eV per atom
SG = Pm-3m
Electronic total energy = -12.61 eV/atom
Theoretical density = 5.560 g/cm³

***

First-principles (r²SCAN) data for an optimized crystal structure of Sc5Co4Si10, as listed in the Materials Project database.

a b c (Å): 11.9541 11.9541 3.9187
angles (deg): 90.00 90.00 90.00
Last column: nearest neighbours and their distance in Å.
Fractional positions:
Sc 0.0000 0.0000 0.0000  12 Si 2.78-3.02, 4 Co 2.95
Sc 0.1114 0.3886 0.5000  10 Si 2.95-3.05, 4 Co 3.07
Sc 0.1765 0.6765 0.5000  8 Si 2.68-2.82, 4 Co 2.83
Sc 0.3235 0.1765 0.5000  8 Si 2.68-2.82, 4 Co 2.83
Sc 0.3886 0.8886 0.5000  10 Si 2.95-3.05, 4 Co 3.07
Sc 0.5000 0.5000 0.0000  12 Si 2.78-3.02, 4 Co 2.95
Sc 0.6114 0.1114 0.5000  10 Si 2.95-3.05, 4 Co 3.07
Sc 0.6765 0.8235 0.5000  8 Si 2.68-2.82, 4 Co 2.83
Sc 0.8235 0.3235 0.5000  8 Si 2.68-2.82, 4 Co 2.83
Sc 0.8886 0.6114 0.5000  10 Si 2.95-3.05, 4 Co 3.07
Co 0.0248 0.7545 0.0000  5 Si 2.20-2.33
Co 0.2455 0.0248 0.0000  5 Si 2.20-2.33
Co 0.2545 0.5248 0.0000  5 Si 2.20-2.33
Co 0.4752 0.2545 0.0000  5 Si 2.20-2.33
Co 0.5248 0.7455 0.0000  5 Si 2.20-2.33
Co 0.7455 0.4752 0.0000  5 Si 2.20-2.33
Co 0.7545 0.9752 0.0000  5 Si 2.20-2.33
Co 0.9752 0.2455 0.0000  5 Si 2.20-2.33
Si 0.0015 0.8347 0.5000  2 Co 2.20
Si 0.0684 0.5684 0.0000  2 Co 2.29, 1 Si 2.31
Si 0.1561 0.1984 0.0000  2 Co 2.23-2.33, 1 Si 2.46
Si 0.1653 0.0015 0.5000  2 Co 2.20
Si 0.1984 0.8439 0.0000  2 Co 2.23-2.33, 1 Si 2.46
Si 0.3016 0.3439 0.0000  2 Co 2.23-2.33, 1 Si 2.46
Si 0.3347 0.5015 0.5000  2 Co 2.20
Si 0.3439 0.6984 0.0000  2 Co 2.23-2.33, 1 Si 2.46
Si 0.4316 0.0684 0.0000  2 Co 2.29, 1 Si 2.31
Si 0.4985 0.3347 0.5000  2 Co 2.20
Si 0.5015 0.6653 0.5000  2 Co 2.20
Si 0.5684 0.9316 0.0000  2 Co 2.29, 1 Si 2.31
Si 0.6561 0.3016 0.0000  2 Co 2.23-2.33, 1 Si 2.46
Si 0.6653 0.4985 0.5000  2 Co 2.20
Si 0.6984 0.6561 0.0000  2 Co 2.23-2.33, 1 Si 2.46
Si 0.8016 0.1561 0.0000  2 Co 2.23-2.33, 1 Si 2.46
Si 0.8347 0.9985 0.5000  2 Co 2.20
Si 0.8439 0.8016 0.0000  2 Co 2.23-2.33, 1 Si 2.46
Si 0.9316 0.4316 0.0000  2 Co 2.29, 1 Si 2.31
Si 0.9985 0.1653 0.5000  2 Co 2.20

Size of the total moment = 0.00 μB per formula unit
Formation energy from the elements = -0.6908 eV per atom
SG = P4/mbm
Electronic total energy = -11.09 eV/atom
Theoretical density = 4.397 g/cm³

***

First-principles (r²SCAN) data for an optimized crystal structure of Sc6CoTe2, as listed in the Materials Project database.

a b c (Å): 7.7294 7.7294 3.7849
angles (deg): 90.00 90.00 120.00
Last column: nearest neighbours and their distance in Å.
Fractional positions:
Sc 0.0000 0.2337 0.0000  2 Co 2.62
Sc 0.0000 0.6117 0.5000  1 Co 3.00, 4 Te 3.05, 4 Sc 3.23
Sc 0.2337 0.0000 0.0000  2 Co 2.62
Sc 0.3883 0.3883 0.5000  1 Co 3.00, 4 Te 3.05, 4 Sc 3.23
Sc 0.6117 0.0000 0.5000  1 Co 3.00, 4 Te 3.05, 4 Sc 3.23
Sc 0.7663 0.7663 0.0000  2 Co 2.62
Co 0.0000 0.0000 0.5000  6 Sc 2.62
Te 0.3333 0.6667 0.0000  9 Sc 3.04-3.05
Te 0.6667 0.3333 0.0000  9 Sc 3.04-3.05

Size of the total moment = 1.72 μB per formula unit
Formation energy from the elements = -0.6856 eV per atom
SG = P-62m
Electronic total energy = -15.40 eV/atom
Theoretical density = 4.951 g/cm³

***

First-principles (r²SCAN) data for an optimized crystal structure of Co3Se4, as listed in the Materials Project database.

a b c (Å): 6.3881 6.3881 6.1664
angles (deg): 118.76 118.76 32.56
Last column: nearest neighbours and their distance in Å.
Fractional positions:
Co 0.0000 0.0000 0.0000  6 Se 2.49-2.51, 2 Co 2.70
Co 0.2547 0.2547 0.2440  6 Se 2.36-2.45
Co 0.7453 0.7453 0.7560  6 Se 2.36-2.45
Se 0.1337 0.1337 0.8020  4 Co 2.36-2.49
Se 0.3649 0.3649 0.6983  5 Co 2.42-2.51
Se 0.6351 0.6351 0.3017  5 Co 2.42-2.51
Se 0.8663 0.8663 0.1980  4 Co 2.36-2.49

Size of the total moment = 2.37 μB per formula unit
Formation energy from the elements = -0.3040 eV per atom
SG = C2/m
Electronic total energy = -14.15 eV/atom
Theoretical density = 6.980 g/cm³

***

First-principles (r²SCAN) data for an optimized crystal structure of Co9Se8, as listed in the Materials Project database.

a b c (Å): 7.2329 7.2329 7.2329
angles (deg): 60.00 60.00 60.00
Last column: nearest neighbours and their distance in Å.
Fractional positions:
Co 0.0000 0.0000 0.0000  6 Se 2.42
Co 0.1301 0.6233 0.6233  4 Se 2.24-2.29
Co 0.3767 0.3767 0.3767  4 Se 2.24-2.29
Co 0.3767 0.3767 0.8699  4 Se 2.24-2.29
Co 0.3767 0.8699 0.3767  4 Se 2.24-2.29
Co 0.6233 0.1301 0.6233  4 Se 2.24-2.29
Co 0.6233 0.6233 0.1301  4 Se 2.24-2.29
Co 0.6233 0.6233 0.6233  4 Se 2.24-2.29
Co 0.8699 0.3767 0.3767  4 Se 2.24-2.29
Se 0.2364 0.2364 0.7636  5 Co 2.29-2.42
Se 0.2364 0.7636 0.2364  5 Co 2.29-2.42
Se 0.2364 0.7636 0.7636  5 Co 2.29-2.42
Se 0.2500 0.2500 0.2500  4 Co 2.24
Se 0.7500 0.7500 0.7500  4 Co 2.24
Se 0.7636 0.2364 0.2364  5 Co 2.29-2.42
Se 0.7636 0.2364 0.7636  5 Co 2.29-2.42
Se 0.7636 0.7636 0.2364  5 Co 2.29-2.42

Size of the total moment = 0.00 μB per formula unit
Formation energy from the elements = -0.1991 eV per atom
SG = Fm-3m
Electronic total energy = -13.94 eV/atom
Theoretical density = 7.212 g/cm³

***

First-principles (r²SCAN) data for an optimized crystal structure of CoSe2, as listed in the Materials Project database.

a b c (Å): 5.8837 5.8837 5.8837
angles (deg): 90.00 90.00 90.00
Last column: nearest neighbours and their distance in Å.
Fractional positions:
Co 0.0000 0.0000 0.0000  6 Se 2.45
Co 0.0000 0.5000 0.5000  6 Se 2.45
Co 0.5000 0.0000 0.5000  6 Se 2.45
Co 0.5000 0.5000 0.0000  6 Se 2.45
Se 0.1186 0.6186 0.8814  1 Se 2.42, 3 Co 2.45
Se 0.1186 0.8814 0.3814  1 Se 2.42, 3 Co 2.45
Se 0.3814 0.1186 0.8814  1 Se 2.42, 3 Co 2.45
Se 0.3814 0.3814 0.3814  1 Se 2.42, 3 Co 2.45
Se 0.6186 0.6186 0.6186  1 Se 2.42, 3 Co 2.45
Se 0.6186 0.8814 0.1186  1 Se 2.42, 3 Co 2.45
Se 0.8814 0.1186 0.6186  1 Se 2.42, 3 Co 2.45
Se 0.8814 0.3814 0.1186  1 Se 2.42, 3 Co 2.45

Size of the total moment = 1.00 μB per formula unit
Formation energy from the elements = -0.3341 eV per atom
SG = Pa-3
Electronic total energy = -14.29 eV/atom
Theoretical density = 7.072 g/cm³

***

First-principles (r²SCAN) data for an optimized crystal structure of CoSe, as listed in the Materials Project database.

a b c (Å): 3.5887 3.5887 5.5754
angles (deg): 90.00 90.00 90.00
Last column: nearest neighbours and their distance in Å.
Fractional positions:
Co 0.2500 0.7500 0.0000  4 Se 2.30, 4 Co 2.54
Co 0.7500 0.2500 0.0000  4 Se 2.30, 4 Co 2.54
Se 0.2500 0.2500 0.2568  4 Co 2.30
Se 0.7500 0.7500 0.7432  4 Co 2.30

Size of the total moment = 0.24 μB per formula unit
Formation energy from the elements = -0.1855 eV per atom
SG = P4/nmm
Electronic total energy = -13.96 eV/atom
Theoretical density = 6.378 g/cm³